Entry 1:
The following is a DFT calculation (PBE-GGA) of crystalline Na8MgSi4Ge3P2O24 at its relaxed geometry.

```
Na8MgSi4Ge3P2O24
1.0
8.845 -0.017 -0.003
-4.437 7.699 0.013
-0.008 0.033 21.693
Na Mg Si Ge P O
24 3 12 9 6 72
direct
0.637 0.008 0.244
0.372 0.363 0.245
0.992 0.628 0.245
0.632 0.622 0.747
0.989 0.369 0.751
0.380 0.006 0.746
0.308 0.335 0.586
0.030 0.698 0.585
0.664 0.971 0.589
0.308 0.970 0.083
0.663 0.692 0.083
0.029 0.337 0.083
0.964 0.666 0.917
0.702 0.037 0.917
0.335 0.299 0.918
0.967 0.292 0.415
0.322 0.036 0.416
0.711 0.673 0.414
0.004 0.000 0.498
0.000 0.000 0.999
0.670 0.333 0.831
0.667 0.335 0.331
0.333 0.667 0.163
0.337 0.671 0.668
0.003 0.000 0.355
0.665 0.332 0.687
0.667 0.333 0.181
0.005 0.714 0.753
0.713 0.996 0.752
0.376 0.041 0.584
0.664 0.628 0.584
0.960 0.624 0.084
0.664 0.040 0.084
0.376 0.336 0.084
0.619 0.665 0.916
0.046 0.380 0.916
0.335 0.957 0.916
0.337 0.382 0.418
0.042 0.660 0.418
0.995 0.997 0.855
0.998 0.987 0.648
0.000 0.999 0.143
0.667 0.334 0.981
0.664 0.344 0.482
0.333 0.667 0.018
0.333 0.668 0.519
0.330 0.660 0.317
0.336 0.675 0.815
0.290 0.996 0.252
0.707 0.712 0.253
0.003 0.292 0.252
0.280 0.284 0.751
0.958 0.334 0.583
0.617 0.955 0.417
0.208 0.022 0.309
0.815 0.795 0.309
0.977 0.183 0.309
0.196 0.169 0.809
0.971 0.807 0.812
0.839 0.034 0.812
0.801 0.959 0.689
0.163 0.202 0.692
0.049 0.838 0.690
0.790 0.829 0.193
0.038 0.209 0.193
0.171 0.960 0.193
0.883 0.372 0.640
0.495 0.111 0.643
0.617 0.506 0.643
0.891 0.511 0.145
0.619 0.109 0.145
0.490 0.381 0.145
0.460 0.289 0.023
0.829 0.540 0.023
0.711 0.171 0.023
0.464 0.170 0.522
0.713 0.546 0.523
0.837 0.296 0.524
0.535 0.708 0.976
0.172 0.464 0.976
0.289 0.828 0.976
0.534 0.838 0.475
0.304 0.476 0.478
0.171 0.699 0.478
0.129 0.620 0.356
0.497 0.873 0.358
0.383 0.510 0.356
0.132 0.507 0.855
0.380 0.876 0.856
0.492 0.622 0.855
0.016 0.826 0.415
0.798 0.975 0.412
0.166 0.192 0.415
0.028 0.185 0.911
0.160 0.979 0.911
0.815 0.841 0.912
0.979 0.170 0.586
0.180 0.028 0.588
0.843 0.825 0.587
0.978 0.821 0.090
0.843 0.022 0.090
0.179 0.157 0.090
0.690 0.164 0.749
0.461 0.304 0.748
0.833 0.524 0.749
0.682 0.528 0.247
0.844 0.317 0.247
0.475 0.156 0.247
0.639 0.490 0.922
0.851 0.361 0.922
0.511 0.151 0.923
0.631 0.137 0.422
0.517 0.367 0.422
0.850 0.475 0.423
0.350 0.507 0.075
0.157 0.649 0.074
0.493 0.843 0.074
0.347 0.842 0.574
0.491 0.652 0.574
0.145 0.499 0.576
0.305 0.823 0.255
0.520 0.700 0.254
0.178 0.479 0.254
0.293 0.466 0.754
0.186 0.699 0.756
0.520 0.812 0.755
```

Computed properties:
total moment = 0.0 Bohr magnetons per cell
formation energy from the elements = -59.778 kcal/mol of atoms
energy with MP2020 corrections = -858.61 eV per cell
symmetry = P1 (1)
energy = -809.1 eV per cell

---

Entry 2:
The following is a DFT calculation (PBE-GGA) of crystalline Na7Mg2SiGe2P5O24 at its relaxed geometry.

```
Na7Mg2SiGe2P5O24
1.0
-2.765 -8.144 -1.949
8.371 2.288 -1.558
5.492 -6.653 19.876
Na Mg Si Ge P O
21 6 3 6 15 72
direct
0.359 0.369 0.253
0.007 0.639 0.251
0.629 0.644 0.751
0.005 0.367 0.753
0.362 0.990 0.751
0.296 0.317 0.583
0.028 0.704 0.585
0.674 0.972 0.589
0.296 0.973 0.085
0.683 0.705 0.084
0.027 0.328 0.086
0.961 0.656 0.922
0.694 0.035 0.918
0.966 0.307 0.418
0.345 0.038 0.421
0.995 0.988 0.502
0.011 0.005 0.003
0.653 0.332 0.838
0.666 0.335 0.337
0.347 0.682 0.171
0.339 0.672 0.670
0.001 0.999 0.647
0.998 0.997 0.148
0.662 0.334 0.980
0.665 0.337 0.480
0.338 0.672 0.314
0.335 0.669 0.815
0.709 0.005 0.748
0.374 0.036 0.579
0.963 0.625 0.080
0.994 0.995 0.351
0.002 0.007 0.851
0.663 0.323 0.684
0.672 0.332 0.184
0.328 0.663 0.018
0.340 0.674 0.517
0.299 0.008 0.249
0.709 0.705 0.248
0.988 0.285 0.249
0.294 0.287 0.748
0.992 0.705 0.750
0.962 0.341 0.581
0.661 0.617 0.583
0.661 0.041 0.081
0.381 0.340 0.084
0.626 0.670 0.915
0.047 0.369 0.915
0.325 0.959 0.915
0.631 0.953 0.415
0.329 0.374 0.414
0.042 0.673 0.414
0.212 0.045 0.308
0.838 0.795 0.305
0.965 0.173 0.310
0.209 0.161 0.806
0.959 0.791 0.809
0.840 0.047 0.811
0.793 0.973 0.688
0.189 0.211 0.690
0.028 0.817 0.693
0.789 0.804 0.189
0.017 0.203 0.193
0.190 0.984 0.192
0.881 0.380 0.641
0.504 0.124 0.642
0.625 0.502 0.644
0.874 0.492 0.143
0.617 0.124 0.139
0.497 0.377 0.144
0.460 0.299 0.029
0.847 0.540 0.021
0.689 0.146 0.023
0.458 0.152 0.520
0.695 0.534 0.529
0.853 0.314 0.524
0.539 0.706 0.974
0.159 0.455 0.976
0.290 0.836 0.974
0.553 0.844 0.478
0.294 0.461 0.474
0.166 0.711 0.473
0.125 0.647 0.356
0.511 0.866 0.362
0.340 0.473 0.356
0.130 0.480 0.859
0.349 0.874 0.858
0.527 0.657 0.857
0.036 0.850 0.410
0.819 0.970 0.410
0.154 0.185 0.413
0.033 0.182 0.913
0.148 0.965 0.911
0.814 0.845 0.914
0.986 0.181 0.588
0.180 0.006 0.587
0.815 0.803 0.589
0.994 0.820 0.088
0.821 0.019 0.090
0.193 0.189 0.091
0.701 0.193 0.745
0.481 0.304 0.746
0.817 0.523 0.745
0.699 0.518 0.247
0.817 0.301 0.247
0.482 0.184 0.245
0.653 0.513 0.920
0.862 0.342 0.921
0.487 0.137 0.922
0.661 0.140 0.421
0.486 0.346 0.419
0.863 0.513 0.422
0.375 0.517 0.078
0.161 0.636 0.077
0.491 0.853 0.078
0.364 0.839 0.576
0.485 0.625 0.578
0.149 0.511 0.577
0.316 0.846 0.256
0.525 0.674 0.256
0.148 0.470 0.255
0.315 0.469 0.757
0.146 0.673 0.757
0.514 0.840 0.755
```

Computed properties:
total moment = 0.0 Bohr magnetons per cell
formation energy from the elements = -60.129 kcal/mol of atoms
energy with MP2020 corrections = -839.55 eV per cell
symmetry = P1 (1)
energy = -790.1 eV per cell

---

Entry 3:
The following is a DFT calculation (PBE-GGA) of crystalline Na2Mg5Ge3S12O48 at its relaxed geometry.

```
Na2Mg5Ge3S12O48
1.0
-11.845 6.841 -10.127
-2.268 -3.616 7.368
2.443 19.523 10.299
Na Mg Ge S O
6 15 9 36 144
direct
0.000 0.000 0.502
0.503 0.004 0.999
0.335 0.335 0.830
0.832 0.331 0.831
0.332 0.334 0.337
0.834 0.333 0.334
0.001 0.001 0.355
0.501 0.000 0.853
0.000 0.999 0.646
0.502 0.003 0.146
0.332 0.331 0.683
0.835 0.336 0.684
0.831 0.332 0.184
0.331 0.331 0.980
0.836 0.335 0.982
0.336 0.337 0.484
0.831 0.330 0.483
0.164 0.663 0.311
0.669 0.669 0.311
0.169 0.670 0.809
0.664 0.663 0.808
0.500 0.999 0.354
0.999 0.999 0.849
0.500 0.000 0.650
0.996 0.997 0.149
0.334 0.334 0.183
0.162 0.666 0.016
0.671 0.667 0.016
0.166 0.665 0.521
0.666 0.667 0.521
0.147 0.005 0.247
0.644 0.001 0.251
0.356 0.707 0.249
0.856 0.709 0.250
0.999 0.287 0.250
0.498 0.288 0.249
0.145 0.287 0.751
0.645 0.287 0.750
0.999 0.710 0.750
0.498 0.710 0.750
0.357 0.003 0.750
0.856 0.002 0.750
0.483 0.332 0.583
0.983 0.338 0.581
0.187 0.035 0.580
0.683 0.034 0.584
0.334 0.634 0.584
0.831 0.627 0.581
0.481 0.622 0.082
0.983 0.634 0.083
0.330 0.037 0.082
0.833 0.034 0.083
0.185 0.333 0.084
0.687 0.339 0.080
0.310 0.668 0.918
0.815 0.672 0.914
0.022 0.372 0.915
0.523 0.379 0.917
0.163 0.956 0.915
0.667 0.954 0.918
0.314 0.956 0.414
0.810 0.954 0.418
0.168 0.380 0.418
0.664 0.373 0.415
0.022 0.666 0.417
0.522 0.670 0.415
0.111 0.046 0.300
0.603 0.043 0.308
0.415 0.781 0.305
0.915 0.796 0.302
0.475 0.169 0.305
0.984 0.172 0.302
0.105 0.167 0.809
0.604 0.173 0.802
0.482 0.792 0.803
0.979 0.789 0.809
0.414 0.035 0.803
0.916 0.044 0.809
0.398 0.969 0.693
0.899 0.976 0.699
0.089 0.201 0.699
0.587 0.205 0.693
0.012 0.822 0.699
0.515 0.826 0.693
0.398 0.815 0.196
0.896 0.824 0.192
0.017 0.205 0.192
0.509 0.204 0.196
0.091 0.975 0.191
0.588 0.975 0.199
0.445 0.369 0.636
0.944 0.371 0.635
0.241 0.112 0.634
0.739 0.109 0.637
0.316 0.522 0.637
0.815 0.517 0.635
0.441 0.505 0.140
0.946 0.523 0.137
0.312 0.117 0.139
0.816 0.109 0.137
0.245 0.375 0.140
0.741 0.371 0.135
0.225 0.297 0.032
0.728 0.311 0.027
0.422 0.537 0.031
0.929 0.559 0.029
0.345 0.152 0.030
0.851 0.145 0.030
0.227 0.145 0.526
0.720 0.142 0.529
0.352 0.558 0.530
0.844 0.546 0.526
0.429 0.298 0.529
0.928 0.310 0.527
0.269 0.702 0.977
0.777 0.710 0.972
0.080 0.449 0.973
0.581 0.461 0.975
0.145 0.842 0.972
0.650 0.838 0.976
0.276 0.843 0.470
0.768 0.837 0.475
0.152 0.463 0.474
0.645 0.451 0.471
0.081 0.700 0.473
0.579 0.707 0.472
0.064 0.641 0.363
0.563 0.642 0.362
0.259 0.875 0.361
0.755 0.870 0.365
0.181 0.490 0.364
0.678 0.483 0.362
0.065 0.488 0.864
0.565 0.490 0.865
0.179 0.871 0.863
0.679 0.867 0.866
0.254 0.642 0.866
0.757 0.641 0.863
0.015 0.831 0.414
0.514 0.839 0.410
0.406 0.969 0.408
0.900 0.970 0.415
0.086 0.200 0.414
0.578 0.189 0.409
0.015 0.190 0.910
0.515 0.199 0.915
0.080 0.970 0.909
0.585 0.968 0.915
0.400 0.831 0.916
0.906 0.842 0.909
0.495 0.171 0.592
0.996 0.181 0.587
0.095 0.006 0.587
0.590 0.010 0.592
0.416 0.821 0.592
0.909 0.811 0.587
0.490 0.801 0.091
0.996 0.822 0.092
0.409 0.015 0.091
0.916 0.012 0.091
0.095 0.170 0.095
0.594 0.182 0.086
0.349 0.165 0.741
0.848 0.166 0.747
0.234 0.302 0.747
0.734 0.303 0.741
0.417 0.532 0.741
0.917 0.531 0.747
0.348 0.519 0.243
0.849 0.532 0.242
0.411 0.302 0.244
0.917 0.301 0.241
0.240 0.178 0.238
0.733 0.166 0.248
0.317 0.505 0.926
0.826 0.514 0.923
0.433 0.363 0.925
0.933 0.352 0.925
0.243 0.135 0.924
0.748 0.132 0.926
0.327 0.139 0.422
0.818 0.132 0.425
0.249 0.362 0.425
0.742 0.348 0.423
0.432 0.513 0.424
0.933 0.504 0.424
0.176 0.497 0.077
0.679 0.510 0.073
0.077 0.653 0.075
0.571 0.637 0.076
0.246 0.855 0.076
0.751 0.848 0.075
0.181 0.851 0.573
0.671 0.846 0.575
0.252 0.655 0.575
0.745 0.641 0.574
0.076 0.508 0.575
0.576 0.499 0.574
0.159 0.850 0.253
0.650 0.840 0.261
0.267 0.684 0.258
0.768 0.696 0.255
0.080 0.464 0.254
0.574 0.465 0.259
0.151 0.461 0.761
0.652 0.463 0.755
0.080 0.698 0.761
0.580 0.697 0.754
0.268 0.839 0.754
0.769 0.841 0.761
```

Computed properties:
total moment = 0.0 Bohr magnetons per cell
formation energy from the elements = -48.389 kcal/mol of atoms
energy with MP2020 corrections = -1375.62 eV per cell
symmetry = P1 (1)
energy = -1276.7 eV per cell